# Li5TaO5 (PBE, relaxed)
data_Li5TaO5
_space_group_name_H-M_alt 'C 1 2/c 1'
_space_group_IT_number 15
_cell_length_a 5.738
_cell_length_b 9.366
_cell_length_c 9.096
_cell_angle_alpha 90.00
_cell_angle_beta 104.69
_cell_angle_gamma 90.00
loop_
_space_group_symop_operation_xyz
'x,y,z'
'-x,-y,-z'
'-x,y,-z+1/2'
'x,-y,z+1/2'
'x+1/2,y+1/2,z'
'-x+1/2,-y+1/2,-z'
'-x+1/2,y+1/2,-z+1/2'
'x+1/2,-y+1/2,z+1/2'
loop_
_atom_site_label
_atom_site_fract_x
_atom_site_fract_y
_atom_site_fract_z
Li1 0.000 0.173 0.250
Li2 0.128 0.326 0.060
Li3 0.160 0.116 0.541
Ta1 0.000 0.412 0.750
O1 0.000 0.387 0.250
O2 0.156 0.331 0.606
O3 0.187 0.113 0.090
# Total energy after the MP2020 corrections   -6.82 eV per atom
# Volume   472.8 Å³/cell
# Crystal system   monoclinic
# Relative energy among the computed polymorphs   28 meV per atom



# LiAlPt (PBE, relaxed)
data_LiAlPt
_space_group_name_H-M_alt 'P 63/m m c'
_space_group_IT_number 194
_space_group_name_Hall '-P 6c 2c'
_cell_length_a 4.1578
_cell_length_b 4.1578
_cell_length_c 5.4273
_cell_angle_alpha 90.00
_cell_angle_beta 90.00
_cell_angle_gamma 120.00
loop_
_atom_site_label
_atom_site_fract_x
_atom_site_fract_y
_atom_site_fract_z
Li1 0.3333 0.6667 0.2500
Al1 0.3333 0.6667 0.7500
Pt1 0.0000 0.0000 0.0000
# Volume   81.3 Å³/cell
# Crystal system   hexagonal



# NaFeAs (PBE, relaxed)
data_NaFeAs
_space_group_name_H-M_alt 'P 4/n m m'
_space_group_IT_number 129
_cell_length_a 3.924
_cell_length_b 3.924
_cell_length_c 6.919
_cell_angle_alpha 90.00
_cell_angle_beta 90.00
_cell_angle_gamma 90.00
loop_
_space_group_symop_operation_xyz
'x,y,z'
'-x,-y,-z'
'-y+1/2,x,z'
'y+1/2,-x,-z'
'-x+1/2,-y+1/2,z'
'x+1/2,y+1/2,-z'
'y,-x+1/2,z'
'-y,x+1/2,-z'
'x+1/2,-y,-z'
'-x+1/2,y,z'
'-y,-x,-z'
'y,x,z'
'-x,y+1/2,-z'
'x,-y+1/2,z'
'y+1/2,x+1/2,-z'
'-y+1/2,-x+1/2,z'
loop_
_atom_site_label
_atom_site_fract_x
_atom_site_fract_y
_atom_site_fract_z
Na1 0.250 0.250 0.152
Fe1 0.250 0.750 0.500
As1 0.250 0.250 0.686
# Volume   106.5 Å³/cell
# Crystal system   tetragonal
# Relative energy among the computed polymorphs   0 meV per atom



# In5Se5Cl (PBE, relaxed)
data_In5Se5Cl
_space_group_name_H-M_alt 'P 1 21/m 1'
_space_group_IT_number 11
_cell_length_a 9.393
_cell_length_b 4.177
_cell_length_c 15.656
_cell_angle_alpha 90.00
_cell_angle_beta 92.88
_cell_angle_gamma 90.00
loop_
_space_group_symop_operation_xyz
'x,y,z'
'-x,-y,-z'
'-x,y+1/2,-z'
'x,-y+1/2,z'
loop_
_atom_site_label
_atom_site_fract_x
_atom_site_fract_y
_atom_site_fract_z
In1 0.049 0.250 0.151
In2 0.130 0.250 0.563
In3 0.232 0.750 0.792
In4 0.339 0.750 0.054
In5 0.393 0.250 0.356
Se1 0.041 0.250 0.397
Se2 0.163 0.250 0.999
Se3 0.211 0.750 0.210
Se4 0.320 0.250 0.696
Se5 0.467 0.750 0.898
Cl1 0.327 0.750 0.502
# Total energy after the MP2020 corrections   -3.62 eV per atom
# Volume   613.5 Å³/cell
# Crystal system   monoclinic



Energy of formation values, unit eV/atom, following the record order: -2.627 -0.721 -0.279 -0.612.